Eu3Zr: optimized geometry, PBE.

Unit cell a=6.2794 b=6.2794 c=6.2794 alpha=131.13 beta=131.13 gamma=71.61
With the nearest neighbours (Å) after each atom.
Sites, in units of the cell vectors:
Eu  0.5000  0.5000  0.0000  8 Eu 3.64, 4 Zr 3.67
Eu  0.7500  0.2500  0.5000  8 Eu 3.64-3.67, 4 Zr 3.64
Eu  0.2500  0.7500  0.5000  8 Eu 3.64-3.67, 4 Zr 3.64
Zr  0.0000  0.0000  0.0000  12 Eu 3.64-3.67

Properties
* energy relative to the lowest polymorph listed for this composition: 0.0000 eV/atom
* crystal system: tetragonal

---

GaF3: optimized geometry, PBE.

Unit cell a=5.0897 b=5.0897 c=5.3094 alpha=61.36 beta=61.36 gamma=60.00
With the nearest neighbours (Å) after each atom.
Sites, in units of the cell vectors:
F  0.3590  0.1410  0.7500  2 Ga 1.92
F  0.1410  0.7500  0.7500  2 Ga 1.92
F  0.7500  0.3590  0.7500  2 Ga 1.92
F  0.6410  0.8590  0.2500  2 Ga 1.92
F  0.2500  0.6410  0.2500  2 Ga 1.92
F  0.8590  0.2500  0.2500  2 Ga 1.92
Ga  0.5000  0.5000  0.5000  6 F 1.92
Ga  0.0000  0.0000  0.0000  6 F 1.92

Properties
* crystal system: trigonal
* DFT total energy: -4.77 eV per atom

---

K2GaP2H3O8F2: optimized geometry, PBE.

Unit cell a=8.3933 b=4.7962 c=11.0085 alpha=86.44 beta=90.00 gamma=90.00
With the nearest neighbours (Å) after each atom.
Sites, in units of the cell vectors:
H  0.0162  0.0214  0.2468  1 O 1.11
H  0.6603  0.9524  0.0229  1 O 1.01
H  0.5162  0.9786  0.7532  1 O 1.11
H  0.1603  0.0476  0.9771  1 O 1.01
H  0.3406  0.0436  0.4783  1 O 1.00
H  0.8406  0.9564  0.5217  1 O 1.00
F  0.5908  0.6844  0.1015  1 H 1.61
F  0.4079  0.3206  0.3957  1 H 1.66
F  0.0908  0.3156  0.8985  1 H 1.61
F  0.9079  0.6794  0.6043  1 H 1.66
K  0.5986  0.4909  0.5794  5 O 2.72-2.87, 2 F 2.74-2.77
K  0.3984  0.5014  0.9157  5 O 2.71-2.88, 2 F 2.74-2.79, 2 H 2.98-3.00
K  0.0986  0.5091  0.4206  5 O 2.72-2.87, 2 F 2.74-2.77
K  0.8984  0.4986  0.0843  5 O 2.71-2.88, 2 F 2.74-2.79, 2 H 2.98-3.00
O  0.3939  0.1405  0.7209  1 H 1.32
O  0.3134  0.7535  0.2416  1 P 1.52
O  0.6187  0.8417  0.7793  1 H 1.11
O  0.7873  0.0972  0.4639  1 H 1.00
O  0.8959  0.7626  0.8591  1 P 1.53
O  0.7121  0.0945  0.9642  1 H 1.01
O  0.6912  0.2489  0.2562  1 P 1.54
O  0.2121  0.9055  0.0358  1 H 1.01
O  0.1912  0.7511  0.7438  1 P 1.54
O  0.1122  0.2363  0.6449  1 P 1.54
O  0.2873  0.9028  0.5361  1 H 1.00
O  0.3959  0.2374  0.1409  1 P 1.53
O  0.6122  0.7637  0.3551  1 P 1.54
O  0.8939  0.8595  0.2791  1 H 1.32
O  0.8134  0.2465  0.7584  1 P 1.52
O  0.1187  0.1583  0.2207  1 H 1.11
Ga  0.5037  0.5007  0.2502  2 F 1.95, 4 O 1.98-2.01
Ga  0.0037  0.4993  0.7498  2 F 1.95, 4 O 1.98-2.01
P  0.7675  0.9847  0.8359  4 O 1.52-1.61
P  0.7424  0.9857  0.3329  4 O 1.54-1.61
P  0.2424  0.0143  0.6671  4 O 1.54-1.61
P  0.2675  0.0153  0.1641  4 O 1.52-1.61

Properties
* crystal system: monoclinic
* DFT total energy: -5.92 eV per atom

---

GaH9N3F3: optimized geometry, PBE.

Unit cell a=7.4290 b=8.3012 c=8.6957 alpha=90.58 beta=90.00 gamma=90.00
With the nearest neighbours (Å) after each atom.
Sites, in units of the cell vectors:
N  0.0191  0.7728  0.9096  3 H 1.02-1.03
N  0.5638  0.0800  0.2818  3 H 1.03
N  0.4809  0.2728  0.9096  3 H 1.02-1.03
N  0.7702  0.0116  0.5606  3 H 1.02-1.03
N  0.2702  0.4884  0.4394  3 H 1.02-1.03
N  0.7298  0.5116  0.5606  3 H 1.02-1.03
N  0.9809  0.2272  0.0904  3 H 1.02-1.03
N  0.2298  0.9884  0.4394  3 H 1.02-1.03
N  0.9362  0.5800  0.2818  3 H 1.03
N  0.5191  0.7272  0.0904  3 H 1.02-1.03
N  0.0638  0.4200  0.7182  3 H 1.03
N  0.4362  0.9200  0.7182  3 H 1.03
H  0.6644  0.6056  0.5079  1 N 1.03
H  0.4188  0.7970  0.7243  1 N 1.03
H  0.3712  0.2123  0.9506  1 N 1.02
H  0.6288  0.7877  0.0494  1 N 1.02
H  0.8366  0.9073  0.5321  1 N 1.02
H  0.5812  0.2030  0.2757  1 N 1.03
H  0.3356  0.3944  0.4921  1 N 1.03
H  0.9689  0.2247  0.2088  1 N 1.03
H  0.7872  0.0275  0.6778  1 N 1.03
H  0.4689  0.2753  0.7912  1 N 1.03
H  0.7128  0.5275  0.6778  1 N 1.03
H  0.0381  0.5507  0.2063  1 N 1.03
H  0.6802  0.0249  0.2434  1 N 1.03
H  0.1802  0.4751  0.7566  1 N 1.03
H  0.3366  0.5927  0.4679  1 N 1.02
H  0.0920  0.2975  0.0676  1 N 1.03
H  0.1644  0.8944  0.4921  1 N 1.03
H  0.9080  0.7025  0.9324  1 N 1.03
H  0.2872  0.4725  0.3222  1 N 1.03
H  0.2128  0.9725  0.3222  1 N 1.03
H  0.8356  0.1056  0.5079  1 N 1.03
H  0.1288  0.7123  0.9506  1 N 1.02
H  0.5311  0.7247  0.2088  1 N 1.03
H  0.5381  0.9493  0.7937  1 N 1.03
H  0.0311  0.7753  0.7912  1 N 1.03
H  0.1634  0.0927  0.4679  1 N 1.02
H  0.6634  0.4073  0.5321  1 N 1.02
H  0.8198  0.5249  0.2434  1 N 1.03
H  0.8712  0.2877  0.0494  1 N 1.02
H  0.4080  0.7975  0.0676  1 N 1.03
H  0.4619  0.0507  0.2063  1 N 1.03
H  0.3198  0.9751  0.7566  1 N 1.03
H  0.9188  0.7030  0.2757  1 N 1.03
H  0.5920  0.2025  0.9324  1 N 1.03
H  0.9619  0.4493  0.7937  1 N 1.03
H  0.0812  0.2970  0.7243  1 N 1.03
F  0.8895  0.9159  0.1857  2 H 1.87-1.95, 1 Ga 1.95
F  0.1105  0.0841  0.8143  2 H 1.87-1.95, 1 Ga 1.95
F  0.0296  0.7251  0.5728  2 H 1.87-1.94, 1 Ga 1.98
F  0.7579  0.0190  0.9071  3 H 1.97-2.01, 1 Ga 1.98
F  0.2421  0.9810  0.0929  3 H 1.97-2.01, 1 Ga 1.98
F  0.4704  0.2251  0.5728  2 H 1.87-1.94, 1 Ga 1.98
F  0.3895  0.5841  0.8143  2 H 1.87-1.95, 1 Ga 1.95
F  0.9704  0.2749  0.4272  2 H 1.87-1.94, 1 Ga 1.98
F  0.6105  0.4159  0.1857  2 H 1.87-1.95, 1 Ga 1.95
F  0.2579  0.4810  0.0929  3 H 1.97-2.01, 1 Ga 1.98
F  0.7421  0.5190  0.9071  3 H 1.97-2.01, 1 Ga 1.98
F  0.5296  0.7749  0.4272  2 H 1.87-1.94, 1 Ga 1.98
Ga  0.5000  0.5000  0.0000  4 F 1.95-1.98, 2 N 2.04
Ga  0.5000  0.0000  0.5000  2 F 1.98, 4 N 2.07-2.08
Ga  0.0000  0.5000  0.5000  2 F 1.98, 4 N 2.07-2.08
Ga  0.0000  0.0000  0.0000  4 F 1.95-1.98, 2 N 2.04

Properties
* crystal system: monoclinic
* DFT total energy: -5.02 eV per atom

---

GaH3NF3: optimized geometry, PBE.

Unit cell a=5.5581 b=5.5581 c=5.5844 alpha=90.00 beta=90.00 gamma=120.45
With the nearest neighbours (Å) after each atom.
Sites, in units of the cell vectors:
H  0.9601  0.2361  0.7116  1 N 1.03
H  0.4601  0.7361  0.2884  1 N 1.03
H  0.7639  0.0399  0.2884  1 N 1.03
H  0.1227  0.3773  0.9654  1 N 1.04
H  0.6227  0.8773  0.0346  1 N 1.04
H  0.2639  0.5399  0.7116  1 N 1.03
F  0.6246  0.3754  0.0000  2 Ga 1.97
F  0.5524  0.9476  0.7259  3 H 1.85-2.01, 1 Ga 1.87
F  0.1246  0.8754  0.0000  2 Ga 1.97
F  0.1016  0.8984  0.5000  2 Ga 1.96
F  0.6016  0.3984  0.5000  2 Ga 1.96
F  0.0524  0.4476  0.2741  3 H 1.85-2.01, 1 Ga 1.87
Ga  0.3588  0.1412  0.7499  5 F 1.87-1.97, 1 N 1.98
Ga  0.8588  0.6412  0.2501  5 F 1.87-1.97, 1 N 1.98
N  0.1544  0.3456  0.7879  3 H 1.03-1.04
N  0.6544  0.8456  0.2121  3 H 1.03-1.04

Properties
* crystal system: orthorhombic
* piezoelectric modulus e_max: 0.8 C/m²
* DFT total energy: -4.96 eV per atom

---

GaH7N2F4: optimized geometry, PBE.

Unit cell a=6.3599 b=6.3599 c=7.5767 alpha=65.75 beta=65.75 gamma=65.19
With the nearest neighbours (Å) after each atom.
Sites, in units of the cell vectors:
F  0.0568  0.6627  0.6498  2 H 1.87-1.91, 1 Ga 1.93
F  0.2757  0.7243  0.0000  1 Ga 1.89
F  0.9307  0.9307  0.3025  2 Ga 1.97-2.04
F  0.0693  0.0693  0.6975  2 Ga 1.97-2.04
F  0.3373  0.9432  0.3502  2 H 1.87-1.91, 1 Ga 1.93
F  0.7243  0.2757  0.0000  1 Ga 1.89
F  0.9432  0.3373  0.3502  2 H 1.87-1.91, 1 Ga 1.93
F  0.6627  0.0568  0.6498  2 H 1.87-1.91, 1 Ga 1.93
H  0.8589  0.6159  0.1435  1 N 1.03
H  0.1953  0.4361  0.3365  1 N 1.03
H  0.5289  0.5289  0.7665  1 N 1.02
H  0.2083  0.2083  0.0734  1 N 1.02
H  0.6366  0.6366  0.5113  1 N 1.02
H  0.1411  0.3841  0.8565  1 N 1.03
H  0.5639  0.8047  0.6635  1 N 1.03
H  0.8047  0.5639  0.6635  1 N 1.03
H  0.4711  0.4711  0.2335  1 N 1.02
H  0.4361  0.1953  0.3365  1 N 1.03
H  0.6159  0.8589  0.1435  1 N 1.03
H  0.7917  0.7917  0.9266  1 N 1.02
H  0.3841  0.1411  0.8565  1 N 1.03
H  0.3634  0.3634  0.4887  1 N 1.02
Ga  0.0000  0.0000  0.5000  6 F 1.93-1.97
Ga  0.0000  0.0000  0.0000  4 F 1.89-2.04, 2 N 2.05
N  0.7915  0.7915  0.0619  3 H 1.02-1.03
N  0.3683  0.3683  0.3508  4 H 1.02-1.03
N  0.2085  0.2085  0.9381  3 H 1.02-1.03
N  0.6317  0.6317  0.6492  4 H 1.02-1.03

Properties
* crystal system: monoclinic
* DFT total energy: -4.92 eV per atom

---

> Number 2 is which compound?

GaF3